(1)
A relaxed structure of DyInCu, computed with PBE.

a = 3.9091 Å, b = 7.4985 Å, c = 7.4985 Å
α = 120.00°, β = 90.00°, γ = 90.00°
Positions (direct):
Dy: 0.5000 0.0000 0.5895
Dy: 0.5000 0.5895 0.0000
Dy: 0.5000 0.4105 0.4105
In: 0.0000 0.0000 0.2533
In: 0.0000 0.2533 0.0000
In: 0.0000 0.7467 0.7467
Cu: 0.5000 0.0000 0.0000
Cu: 0.0000 0.3333 0.6667
Cu: 0.0000 0.6667 0.3333

Properties
E in eV per cell: -38.1
DFT formation energy in eV per atom: -0.414
Space-group type: No. 189

=====

(2)
A relaxed structure of Rb2ThF6, computed with PBE.

a = 6.9621 Å, b = 6.9621 Å, c = 3.8778 Å
α = 90.00°, β = 90.00°, γ = 120.00°
Positions (direct):
Rb: 0.3333 0.6667 0.5000
Rb: 0.6667 0.3333 0.5000
Th: 0.0000 0.0000 0.0000
F: 0.0000 0.2188 0.5000
F: 0.7812 0.7812 0.5000
F: 0.2188 0.0000 0.5000
F: 0.6698 0.0000 0.0000
F: 0.3302 0.3302 0.0000
F: 0.0000 0.6698 0.0000

Properties
Maximum piezoelectric response in C/m2: 0.3
E in eV per cell: -53.0
DFT formation energy in eV per atom: -3.880
Space-group type: No. 189

=====

(3)
A relaxed structure of Bi12PbO20, computed with PBE.

a = 9.0325 Å, b = 9.0325 Å, c = 9.0325 Å
α = 109.47°, β = 109.47°, γ = 109.47°
Positions (direct):
Bi: 0.8354 0.3333 0.1412
Bi: 0.8079 0.6667 0.5021
Bi: 0.1921 0.6942 0.8588
Bi: 0.5021 0.8079 0.6667
Bi: 0.8588 0.1921 0.6942
Bi: 0.6667 0.5021 0.8079
Bi: 0.3333 0.1412 0.8354
Bi: 0.6942 0.8588 0.1921
Bi: 0.3058 0.4979 0.1646
Bi: 0.1412 0.8354 0.3333
Bi: 0.1646 0.3058 0.4979
Bi: 0.4979 0.1646 0.3058
Pb: 0.0000 0.0000 0.0000
O: 0.3786 0.2642 0.6234
O: 0.3592 0.7358 0.1145
O: 0.0000 0.0000 0.7664
O: 0.7664 0.0000 0.0000
O: 0.7553 0.3766 0.6408
O: 0.6234 0.3786 0.2642
O: 0.3766 0.6408 0.7553
O: 0.6214 0.2447 0.8855
O: 0.3649 0.0000 0.0000
O: 0.1145 0.3592 0.7358
O: 0.8855 0.6214 0.2447
O: 0.2642 0.6234 0.3786
O: 0.0000 0.3649 0.0000
O: 0.0000 0.7664 0.0000
O: 0.2447 0.8855 0.6214
O: 0.2336 0.2336 0.2336
O: 0.0000 0.0000 0.3649
O: 0.6351 0.6351 0.6351
O: 0.6408 0.7553 0.3766
O: 0.7358 0.1145 0.3592

Properties
E in eV per cell: -188.2
DFT formation energy in eV per atom: -1.595
Space-group type: No. 197

=====

(4)
A relaxed structure of Sn3P4O14, computed with PBE.

a = 8.9332 Å, b = 8.9277 Å, c = 9.1799 Å
α = 69.87°, β = 90.00°, γ = 90.00°
Positions (direct):
Sn: 0.6049 0.2440 0.4169
Sn: 0.8951 0.2440 0.9169
Sn: 0.1049 0.7560 0.0831
Sn: 0.5000 0.0000 0.0000
Sn: 0.3951 0.7560 0.5831
Sn: 0.0000 0.0000 0.5000
P: 0.6948 0.8855 0.3227
P: 0.9972 0.6474 0.7774
P: 0.5028 0.6474 0.2774
P: 0.4972 0.3526 0.7226
P: 0.0028 0.3526 0.2226
P: 0.3052 0.1145 0.6773
P: 0.8052 0.8855 0.8227
P: 0.1948 0.1145 0.1773
O: 0.5516 0.2323 0.8813
O: 0.6653 0.0055 0.1557
O: 0.0846 0.1000 0.0562
O: 0.3578 0.0973 0.1353
O: 0.8347 0.0055 0.6557
O: 0.4154 0.1000 0.5562
O: 0.3347 0.9945 0.8443
O: 0.9154 0.9000 0.9438
O: 0.6422 0.9027 0.8647
O: 0.1653 0.9945 0.3443
O: 0.5846 0.9000 0.4438
O: 0.8310 0.7097 0.8106
O: 0.1064 0.6517 0.9041
O: 0.8578 0.9027 0.3647
O: 0.0516 0.7677 0.6187
O: 0.4757 0.5156 0.7342
O: 0.6690 0.7097 0.3106
O: 0.8936 0.3483 0.0959
O: 0.4484 0.7677 0.1187
O: 0.9757 0.4844 0.7658
O: 0.0243 0.5156 0.2342
O: 0.1690 0.2903 0.1894
O: 0.6064 0.3483 0.5959
O: 0.3310 0.2903 0.6894
O: 0.5243 0.4844 0.2658
O: 0.9484 0.2323 0.3813
O: 0.1422 0.0973 0.6353
O: 0.3936 0.6517 0.4041

Properties
E in eV per cell: -288.2
DFT formation energy in eV per atom: -2.416
Space-group type: No. 14
Relative energy among the computed polymorphs in eV per atom: 0.0000

=====

(5)
A relaxed structure of GaAgGeS4, computed with PBE.

a = 6.9545 Å, b = 6.9690 Å, c = 12.1775 Å
α = 74.45°, β = 82.40°, γ = 60.89°
Positions (direct):
Ga: 0.5030 0.2521 0.4979
Ga: 0.0089 0.9971 0.0007
Ga: 0.2436 0.4939 0.2316
Ag: 0.3338 0.3901 0.9180
Ag: 0.6638 0.6426 0.0872
Ag: 0.1720 0.9712 0.4169
Ge: 0.2582 0.9928 0.7255
Ge: 0.7395 0.9701 0.2730
Ge: 0.7515 0.9667 0.7683
S: 0.1176 0.7515 0.7392
S: 0.8723 0.6131 0.2580
S: 0.3807 0.1153 0.2376
S: 0.6153 0.7377 0.7596
S: 0.0968 0.2209 0.8485
S: 0.8973 0.1652 0.1515
S: 0.3999 0.5695 0.3554
S: 0.6052 0.3073 0.6547
S: 0.1929 0.1996 0.5470
S: 0.8106 0.9438 0.4516
S: 0.3101 0.6437 0.0449
S: 0.6933 0.9991 0.9513

Properties
E in eV per cell: -89.8
DFT formation energy in eV per atom: -0.700
Space-group type: No. 1

=====

(6)
A relaxed structure of Mn3Fe2N4, computed with PBE.

a = 6.2229 Å, b = 6.2591 Å, c = 5.2380 Å
α = 90.00°, β = 93.56°, γ = 120.19°
Positions (direct):
Mn: 0.3606 0.0861 0.9440
Mn: 0.6394 0.7255 0.5560
Mn: 0.6394 0.9139 0.0560
Mn: 0.3606 0.2745 0.4440
Mn: 0.0000 0.6730 0.7500
Mn: 0.0000 0.3270 0.2500
Fe: 0.6858 0.1861 0.6263
Fe: 0.3142 0.5003 0.8737
Fe: 0.3142 0.8139 0.3737
Fe: 0.6858 0.4997 0.1263
N: 0.2305 0.9759 0.6061
N: 0.7695 0.7454 0.8939
N: 0.7695 0.0241 0.3939
N: 0.2305 0.2546 0.1061
N: 0.7215 0.2475 0.9772
N: 0.2785 0.5260 0.5228
N: 0.2785 0.7525 0.0228
N: 0.7215 0.4740 0.4772

Properties
E in eV per cell: -157.8
DFT formation energy in eV per atom: -0.283
Space-group type: No. 15
Relative energy among the computed polymorphs in eV per atom: 0.0000

=====

(7)
A relaxed structure of Ba2Ti3AlO8, computed with PBE.

a = 3.9710 Å, b = 3.9710 Å, c = 11.4492 Å
α = 90.00°, β = 90.00°, γ = 90.00°
Positions (direct):
Ba: 0.5000 0.5000 0.1745
Ba: 0.5000 0.5000 0.8255
Ti: 0.0000 0.0000 0.3546
Ti: 0.0000 0.0000 0.0000
Ti: 0.0000 0.0000 0.6454
Al: 0.5000 0.5000 0.5000
O: 0.0000 0.5000 0.3828
O: 0.5000 0.0000 0.3828
O: 0.5000 0.0000 0.0000
O: 0.0000 0.0000 0.1873
O: 0.0000 0.5000 0.6172
O: 0.5000 0.0000 0.6172
O: 0.0000 0.0000 0.8127
O: 0.0000 0.5000 0.0000

Properties
E in eV per cell: -107.6
DFT formation energy in eV per atom: -3.020
Space-group type: No. 123

=====

(8)
A relaxed structure of MgAl2O4, computed with PBE.

a = 5.7753 Å, b = 5.7753 Å, c = 33.2092 Å
α = 85.04°, β = 85.04°, γ = 59.93°
Positions (direct):
Mg: 0.0000 0.5000 0.0000
Mg: 0.8064 0.8064 0.0872
Mg: 0.5000 0.0000 0.0000
Mg: 0.0893 0.0893 0.2326
Mg: 0.3751 0.3751 0.3749
Mg: 0.7682 0.7682 0.1955
Mg: 0.6608 0.6608 0.5178
Mg: 0.0535 0.0535 0.3393
Mg: 0.9465 0.9465 0.6607
Mg: 0.3392 0.3392 0.4822
Mg: 0.2318 0.2318 0.8045
Mg: 0.6249 0.6249 0.6251
Mg: 0.9107 0.9107 0.7674
Mg: 0.1936 0.1936 0.9128
Al: 0.5221 0.5221 0.9448
Al: 0.8576 0.8576 0.9270
Al: 0.0000 0.0000 0.0000
Al: 0.2847 0.7886 0.1433
Al: 0.1424 0.1424 0.0730
Al: 0.2842 0.2842 0.1431
Al: 0.5716 0.0714 0.2855
Al: 0.7886 0.2847 0.1433
Al: 0.4779 0.4779 0.0552
Al: 0.4285 0.4285 0.2142
Al: 0.5715 0.5715 0.2855
Al: 0.7143 0.7143 0.3570
Al: 0.0714 0.5716 0.2855
Al: 0.8572 0.8572 0.4285
Al: 0.1430 0.6428 0.5715
Al: 0.6428 0.1430 0.5715
Al: 0.3572 0.8570 0.4285
Al: 0.0000 0.0000 0.5000
Al: 0.1428 0.1428 0.5715
Al: 0.8570 0.3572 0.4285
Al: 0.4284 0.9286 0.7145
Al: 0.2857 0.2857 0.6430
Al: 0.7153 0.2114 0.8567
Al: 0.4285 0.4285 0.7145
Al: 0.5715 0.5715 0.7858
Al: 0.9286 0.4284 0.7145
Al: 0.7158 0.7158 0.8569
Al: 0.2114 0.7153 0.8567
O: 0.6891 0.6891 0.9595
O: 0.8360 0.8360 0.0287
O: 0.1683 0.6952 0.9613
O: 0.6952 0.1683 0.9613
O: 0.3048 0.8317 0.0387
O: 0.9810 0.9810 0.1108
O: 0.1640 0.1640 0.9713
O: 0.8317 0.3048 0.0387
O: 0.1095 0.1095 0.1736
O: 0.4300 0.9785 0.1105
O: 0.3109 0.3109 0.0405
O: 0.9785 0.4300 0.1105
O: 0.5888 0.1468 0.1762
O: 0.2678 0.2678 0.2519
O: 0.1468 0.5888 0.1762
O: 0.4634 0.4634 0.1106
O: 0.7129 0.2674 0.2519
O: 0.3949 0.3949 0.3155
O: 0.2674 0.7129 0.2519
O: 0.5884 0.5884 0.1764
O: 0.8756 0.4298 0.3193
O: 0.5533 0.5533 0.3947
O: 0.4298 0.8756 0.3193
O: 0.7481 0.7481 0.2554
O: 0.6806 0.6806 0.4584
O: 0.9989 0.5530 0.3948
O: 0.8753 0.8753 0.3193
O: 0.5530 0.9989 0.3948
O: 0.1613 0.7154 0.4623
O: 0.8390 0.8390 0.5376
O: 0.9663 0.9663 0.6013
O: 0.7154 0.1613 0.4623
O: 0.0337 0.0337 0.3987
O: 0.2846 0.8387 0.5377
O: 0.1610 0.1610 0.4624
O: 0.8387 0.2846 0.5377
O: 0.4470 0.0011 0.6052
O: 0.1247 0.1247 0.6807
O: 0.0011 0.4470 0.6052
O: 0.2519 0.2519 0.7446
O: 0.3194 0.3194 0.5416
O: 0.5702 0.1244 0.6807
O: 0.4467 0.4467 0.6053
O: 0.1244 0.5702 0.6807
O: 0.7326 0.2871 0.7481
O: 0.4116 0.4116 0.8236
O: 0.2871 0.7326 0.7481
O: 0.6051 0.6051 0.6845
O: 0.5366 0.5366 0.8894
O: 0.8532 0.4112 0.8238
O: 0.4112 0.8532 0.8238
O: 0.7322 0.7322 0.7481
O: 0.0215 0.5700 0.8895
O: 0.8905 0.8905 0.8264
O: 0.5700 0.0215 0.8895
O: 0.0190 0.0190 0.8892

Properties
E in eV per cell: -695.8
DFT formation energy in eV per atom: -3.367
Space-group type: No. 12
Relative energy among the computed polymorphs in eV per atom: 0.0077

=====

(9)
A relaxed structure of SmHg2, computed with PBE.

a = 4.9778 Å, b = 4.9778 Å, c = 3.5605 Å
α = 90.00°, β = 90.00°, γ = 120.00°
Positions (direct):
Sm: 0.0000 0.0000 0.0000
Hg: 0.3333 0.6667 0.5000
Hg: 0.6667 0.3333 0.5000

Properties
E in eV per cell: -6.6
DFT formation energy in eV per atom: -0.414
Space-group type: No. 191

=====

(10)
A relaxed structure of LiAlSiH2O5, computed with PBE.

a = 5.0493 Å, b = 8.4473 Å, c = 11.4349 Å
α = 90.00°, β = 90.00°, γ = 90.00°
Positions (direct):
Li: 0.1012 0.7076 0.6198
Li: 0.6012 0.2076 0.8802
Li: 0.6012 0.2924 0.3802
Li: 0.1012 0.7924 0.1198
Al: 0.7300 0.6448 0.3525
Al: 0.2300 0.1448 0.1475
Al: 0.7300 0.8552 0.8525
Al: 0.2300 0.3552 0.6475
Si: 0.1992 0.4688 0.2711
Si: 0.6992 0.9688 0.2289
Si: 0.6992 0.5312 0.7289
Si: 0.1992 0.0312 0.7711
H: 0.0042 0.9814 0.5989
H: 0.5042 0.4814 0.9011
H: 0.5042 0.0186 0.4011
H: 0.3070 0.1546 0.5238
H: 0.8070 0.8454 0.4762
H: 0.8070 0.6546 0.9762
H: 0.0042 0.5186 0.0989
H: 0.3070 0.3454 0.0238
O: 0.4016 0.5342 0.6733
O: 0.9016 0.0342 0.8267
O: 0.3306 0.2318 0.0131
O: 0.1722 0.9499 0.6337
O: 0.8999 0.0815 0.1575
O: 0.8999 0.4185 0.6575
O: 0.8134 0.7099 0.7457
O: 0.8134 0.7901 0.2457
O: 0.3999 0.5815 0.3425
O: 0.3999 0.9185 0.8425
O: 0.8306 0.7682 0.9869
O: 0.3306 0.2682 0.5131
O: 0.8306 0.7318 0.4869
O: 0.3134 0.2099 0.7543
O: 0.9016 0.4658 0.3267
O: 0.1722 0.5501 0.1337
O: 0.6722 0.0501 0.3663
O: 0.3134 0.2901 0.2543
O: 0.4016 0.9658 0.1733
O: 0.6722 0.4499 0.8663

Properties
E in eV per cell: -258.0
DFT formation energy in eV per atom: -2.533
Space-group type: No. 33
Relative energy among the computed polymorphs in eV per atom: 0.0855

=====

(11)
A relaxed structure of Na3SiTe3, computed with PBE.

a = 12.8972 Å, b = 8.8928 Å, c = 9.0184 Å
α = 59.62°, β = 90.00°, γ = 90.00°
Positions (direct):
Na: 0.2291 0.0291 0.7236
Na: 0.7291 0.9709 0.7764
Na: 0.7709 0.9709 0.2764
Na: 0.2709 0.0291 0.2236
Na: 0.5578 0.2735 0.0265
Na: 0.0578 0.7265 0.4735
Na: 0.4422 0.7265 0.9735
Na: 0.9422 0.2735 0.5265
Na: 0.1519 0.5061 0.9792
Na: 0.6519 0.4939 0.5208
Na: 0.8481 0.4939 0.0208
Na: 0.3481 0.5061 0.4792
Si: 0.0092 0.8535 0.0325
Si: 0.5092 0.1465 0.4675
Si: 0.9908 0.1465 0.9675
Si: 0.4908 0.8535 0.5325
Te: 0.6230 0.6649 0.7595
Te: 0.1230 0.3351 0.7405
Te: 0.3770 0.3351 0.2405
Te: 0.8770 0.6649 0.2595
Te: 0.5255 0.8491 0.2584
Te: 0.0255 0.1509 0.2416
Te: 0.4745 0.1509 0.7416
Te: 0.9745 0.8491 0.7584
Te: 0.3073 0.7503 0.6360
Te: 0.8073 0.2497 0.8640
Te: 0.6927 0.2497 0.3640
Te: 0.1927 0.7503 0.1360

Properties
E in eV per cell: -94.2
DFT formation energy in eV per atom: -0.855
Space-group type: No. 14

=====

(12)
A relaxed structure of Ca2MnN2, computed with PBE.

a = 6.0076 Å, b = 6.0076 Å, c = 6.6476 Å
α = 62.36°, β = 62.36°, γ = 49.17°
Positions (direct):
Ca: 0.3190 0.3190 0.6121
Ca: 0.6810 0.6810 0.3879
Ca: 0.9664 0.9664 0.7726
Ca: 0.0336 0.0336 0.2274
Mn: 0.6288 0.6288 0.8702
Mn: 0.3712 0.3712 0.1298
N: 0.8092 0.8092 0.6274
N: 0.1908 0.1908 0.3726
N: 0.5142 0.5142 0.1965
N: 0.4858 0.4858 0.8035

Properties
E in eV per cell: -67.2
DFT formation energy in eV per atom: -0.899
Space-group type: No. 12